(1)
TiBeO3 | Materials Project | GGA-PBE | optimized geometry; E = -35.98 eV per cell; energy with MP2020 corrections = -0.5592 Ry per atom; total magnetization = 0.0 μB/f.u.; crystal system = cubic
1.0
3.389 0.000 0.000
0.000 3.389 0.000
0.000 0.000 3.389
Ti Be O
1 1 3
direct
0.000 0.000 0.000 Ti
0.500 0.500 0.500 Be
0.000 0.500 0.500 O
0.500 0.000 0.500 O
0.500 0.500 0.000 O

---

(2)
TmBeO3 | Materials Project | GGA-PBE | optimized geometry; E = -35.43 eV per cell; energy with MP2020 corrections = -0.5511 Ry per atom; total magnetization = 1.0 μB/f.u.; crystal system = cubic
1.0
3.537 0.000 0.000
0.000 3.537 0.000
0.000 0.000 3.537
Tm Be O
1 1 3
direct
0.000 0.000 0.000 Tm
0.500 0.500 0.500 Be
0.000 0.500 0.500 O
0.500 0.000 0.500 O
0.500 0.500 0.000 O